# 1
VASP calculation (PBE+U) on Li2Mn5F17 after structural relaxation.

```
Li2Mn5F17
1.0
-4.046 -6.128 1.672
-0.296 1.349 -12.733
12.471 -8.559 -1.196
Li Mn F
8 20 68
Direct
0.000 0.000 0.000
0.000 0.000 0.500
0.295 0.591 0.250
0.254 0.508 0.464
0.254 0.508 0.036
0.705 0.409 0.750
0.746 0.492 0.964
0.746 0.492 0.536
0.116 0.735 0.875
0.116 0.735 0.625
0.250 0.997 0.750
0.123 0.745 0.120
0.123 0.745 0.380
0.622 0.745 0.120
0.622 0.745 0.380
0.381 0.265 0.375
0.381 0.265 0.125
0.746 0.997 0.750
0.254 0.003 0.250
0.619 0.735 0.625
0.619 0.735 0.875
0.378 0.255 0.620
0.378 0.255 0.880
0.877 0.255 0.620
0.877 0.255 0.880
0.750 0.003 0.250
0.884 0.265 0.375
0.884 0.265 0.125
0.986 0.598 0.908
0.986 0.598 0.592
0.137 0.888 0.155
0.137 0.888 0.345
0.097 0.798 0.506
0.097 0.798 0.994
0.242 0.881 0.844
0.242 0.881 0.656
0.119 0.608 0.085
0.119 0.608 0.415
0.134 0.691 0.750
0.153 0.693 0.250
0.117 0.234 0.154
0.019 0.038 0.250
0.395 0.791 0.391
0.353 0.706 0.595
0.117 0.234 0.346
0.150 0.300 0.634
0.150 0.300 0.866
0.395 0.791 0.109
0.480 0.960 0.250
0.353 0.706 0.905
0.388 0.402 0.092
0.388 0.402 0.408
0.540 0.693 0.250
0.249 0.112 0.655
0.249 0.112 0.845
0.557 0.691 0.750
0.489 0.608 0.415
0.489 0.608 0.085
0.300 0.202 0.006
0.300 0.202 0.494
0.639 0.881 0.844
0.639 0.881 0.656
0.361 0.119 0.156
0.361 0.119 0.344
0.700 0.798 0.506
0.700 0.798 0.994
0.511 0.392 0.585
0.511 0.392 0.915
0.443 0.309 0.250
0.751 0.888 0.155
0.751 0.888 0.345
0.460 0.307 0.750
0.612 0.598 0.592
0.612 0.598 0.908
0.883 0.766 0.654
0.520 0.040 0.750
0.647 0.294 0.095
0.981 0.962 0.750
0.850 0.700 0.366
0.647 0.294 0.405
0.850 0.700 0.134
0.883 0.766 0.846
0.605 0.209 0.609
0.605 0.209 0.891
0.847 0.307 0.750
0.866 0.309 0.250
0.881 0.392 0.585
0.881 0.392 0.915
0.758 0.119 0.344
0.758 0.119 0.156
0.903 0.202 0.494
0.903 0.202 0.006
0.863 0.112 0.655
0.863 0.112 0.845
0.014 0.402 0.408
0.014 0.402 0.092
```

Values from the calculation:
Its symmetry is No. 63. The crystal system is orthorhombic.

---

# 2
VASP calculation (PBE+U) on LiMnF3 after structural relaxation.

```
LiMnF3
1.0
2.601 -4.505 0.000
2.601 4.505 0.000
0.000 0.000 4.861
Li Mn F
2 2 6
Direct
0.000 0.000 0.250
0.000 0.000 0.750
0.333 0.667 0.750
0.667 0.333 0.250
0.311 0.000 0.500
0.000 0.311 0.500
0.311 0.311 0.000
0.689 0.689 0.500
0.000 0.689 0.000
0.689 0.000 0.000
```

Values from the calculation:
For the offset from the most stable computed form, the calculation gives 3 meV per atom. Its symmetry is No. 182. As for the piezoelectric modulus e_max: 0.0 C/m2. The crystal system is hexagonal.

---

# 3
VASP calculation (PBE+U) on LiMnF3 after structural relaxation.

```
LiMnF3
1.0
-4.916 -1.196 1.672
1.847 -2.078 -4.546
5.574 -12.051 7.773
Li Mn F
6 6 18
Direct
0.000 0.000 0.830
0.667 0.333 0.555
0.000 0.000 0.676
0.000 0.000 0.324
0.333 0.667 0.445
0.000 0.000 0.170
0.667 0.333 0.317
0.667 0.333 0.841
0.333 0.667 0.159
0.000 0.000 0.500
0.000 0.000 0.000
0.333 0.667 0.683
0.334 0.017 0.420
0.320 0.014 0.739
0.307 0.278 0.902
0.307 0.320 0.261
0.722 0.029 0.902
0.983 0.317 0.420
0.693 0.680 0.739
0.029 0.307 0.098
0.683 0.666 0.420
0.986 0.307 0.739
0.014 0.693 0.261
0.317 0.334 0.580
0.971 0.693 0.902
0.017 0.683 0.580
0.278 0.971 0.098
0.693 0.722 0.098
0.680 0.986 0.261
0.666 0.983 0.580
```

Values from the calculation:
For the offset from the most stable computed form, the calculation gives 73 meV per atom. Its symmetry is No. 147. The crystal system is trigonal.

---

# 4
VASP calculation (PBE+U) on LiMnF5 after structural relaxation.

```
LiMnF5
1.0
5.664 0.000 0.000
0.000 7.881 0.000
0.000 0.000 8.222
Li Mn F
4 4 20
Direct
0.762 0.775 0.154
0.238 0.275 0.346
0.262 0.725 0.846
0.738 0.225 0.654
0.981 0.401 0.996
0.019 0.901 0.504
0.481 0.099 0.004
0.519 0.599 0.496
0.751 0.020 0.516
0.829 0.602 0.996
0.835 0.698 0.505
0.957 0.374 0.776
0.995 0.388 0.217
0.005 0.888 0.283
0.043 0.874 0.724
0.165 0.198 0.995
0.171 0.102 0.504
0.249 0.520 0.984
0.251 0.480 0.484
0.329 0.898 0.004
0.335 0.802 0.495
0.457 0.126 0.224
0.495 0.112 0.783
0.505 0.612 0.717
0.543 0.626 0.276
0.665 0.302 0.005
0.671 0.398 0.496
0.749 0.980 0.016
```

Values from the calculation:
For the offset from the most stable computed form, the calculation gives 9 meV per atom. Its symmetry is No. 19. The crystal system is orthorhombic.

---

# 5
VASP calculation (PBE+U) on LiMn2F7 after structural relaxation.

```
LiMn2F7
1.0
7.598 0.000 0.000
0.000 7.262 0.000
0.000 0.266 9.793
Li Mn F
4 8 28
Direct
0.126 0.387 0.382
0.374 0.387 0.882
0.626 0.613 0.118
0.874 0.613 0.618
0.620 0.084 0.112
0.880 0.084 0.612
0.629 0.351 0.429
0.871 0.351 0.929
0.129 0.649 0.071
0.371 0.649 0.571
0.120 0.916 0.388
0.380 0.916 0.888
0.352 0.016 0.064
0.148 0.016 0.564
0.155 0.144 0.313
0.889 0.183 0.076
0.569 0.173 0.293
0.345 0.144 0.813
0.611 0.183 0.576
0.931 0.173 0.793
0.580 0.323 0.021
0.920 0.323 0.521
0.356 0.439 0.456
0.144 0.439 0.956
0.205 0.502 0.213
0.295 0.502 0.713
0.705 0.498 0.287
0.795 0.498 0.787
0.856 0.561 0.044
0.644 0.561 0.544
0.080 0.677 0.479
0.420 0.677 0.979
0.069 0.827 0.207
0.389 0.817 0.424
0.655 0.856 0.187
0.431 0.827 0.707
0.111 0.817 0.924
0.845 0.856 0.687
0.852 0.984 0.436
0.648 0.984 0.936
```

Values from the calculation:
For the offset from the most stable computed form, the calculation gives 60 meV per atom. Its symmetry is No. 14. The crystal system is monoclinic.

---

# 6
VASP calculation (PBE+U) on Li3MnF5 after structural relaxation.

```
Li3MnF5
1.0
-0.389 -8.247 4.121
-0.438 -6.902 -6.172
9.449 -4.161 -0.575
Li Mn F
24 8 40
Direct
0.399 0.900 0.285
0.057 0.564 0.093
0.189 0.723 0.853
0.312 0.794 0.111
0.431 0.925 0.881
0.145 0.643 0.288
0.393 0.407 0.791
0.200 0.208 0.369
0.712 0.716 0.357
0.028 0.044 0.634
0.553 0.567 0.598
0.973 0.951 0.367
0.462 0.455 0.360
0.315 0.303 0.597
0.821 0.808 0.615
0.147 0.151 0.788
0.650 0.643 0.787
0.902 0.409 0.278
0.554 0.064 0.098
0.730 0.226 0.866
0.816 0.303 0.098
0.971 0.470 0.865
0.602 0.085 0.745
0.650 0.144 0.286
0.238 0.736 0.516
0.986 0.486 0.523
0.745 0.749 0.004
0.984 0.981 0.022
0.237 0.231 0.021
0.486 0.484 0.022
0.485 0.982 0.521
0.744 0.249 0.502
0.102 0.952 0.808
0.006 0.872 0.577
0.279 0.967 0.485
0.111 0.747 0.099
0.201 0.838 0.302
0.091 0.445 0.308
0.594 0.945 0.308
0.320 0.630 0.699
0.501 0.860 0.094
0.002 0.359 0.096
0.413 0.724 0.916
0.223 0.521 0.489
0.280 0.458 0.988
0.770 0.974 0.997
0.110 0.249 0.600
0.609 0.749 0.601
0.484 0.670 0.413
0.379 0.568 0.203
0.667 0.855 0.806
0.196 0.337 0.808
0.823 0.636 0.193
0.325 0.132 0.201
0.593 0.446 0.807
0.506 0.348 0.607
0.427 0.229 0.416
0.927 0.730 0.413
0.219 0.021 0.991
0.718 0.533 0.983
0.776 0.477 0.483
0.614 0.250 0.097
0.992 0.656 0.914
0.486 0.172 0.906
0.693 0.346 0.299
0.398 0.071 0.707
0.884 0.577 0.703
0.794 0.146 0.699
0.921 0.230 0.914
0.710 0.030 0.506
0.983 0.182 0.403
0.883 0.067 0.205
```

Values from the calculation:
For the offset from the most stable computed form, the calculation gives 1 meV per atom. Its symmetry is No. 1. The crystal system is triclinic.

---

# 7
VASP calculation (PBE+U) on LiMn2F7 after structural relaxation.

```
LiMn2F7
1.0
4.998 2.750 0.000
-4.998 2.750 0.000
0.000 2.695 9.344
Li Mn F
2 4 14
Direct
0.900 0.412 0.163
0.412 0.900 0.663
0.777 0.681 0.576
0.325 0.253 0.931
0.681 0.777 0.076
0.253 0.325 0.431
0.065 0.894 0.405
0.494 0.559 0.757
0.727 0.515 0.994
0.117 0.943 0.097
0.633 0.013 0.167
0.013 0.633 0.667
0.515 0.727 0.494
0.489 0.261 0.534
0.048 0.413 0.333
0.413 0.048 0.833
0.894 0.065 0.905
0.261 0.489 0.034
0.559 0.494 0.257
0.943 0.117 0.597
```

Values from the calculation:
For the offset from the most stable computed form, the calculation gives 48 meV per atom. Its symmetry is No. 9. The crystal system is monoclinic.

---

# 8
VASP calculation (PBE+U) on Li3MnF6 after structural relaxation.

```
Li3MnF6
1.0
4.495 2.569 0.163
-4.495 2.569 0.163
0.000 0.474 5.056
Li Mn F
3 1 6
Direct
0.304 0.696 0.500
0.000 0.000 0.500
0.696 0.304 0.500
0.000 0.000 0.000
0.688 0.985 0.290
0.312 0.015 0.710
0.985 0.688 0.290
0.723 0.723 0.808
0.015 0.312 0.710
0.277 0.277 0.192
```

Values from the calculation:
For the offset from the most stable computed form, the calculation gives 83 meV per atom. Its symmetry is No. 12. The crystal system is monoclinic.

---

# 9
VASP calculation (PBE+U) on LiMn2F7 after structural relaxation.

```
LiMn2F7
1.0
2.561 8.589 0.000
-2.561 8.589 0.000
0.000 0.128 5.601
Li Mn F
2 4 14
Direct
0.500 0.000 0.000
0.000 0.500 0.500
0.150 0.639 0.785
0.639 0.150 0.285
0.361 0.850 0.715
0.850 0.361 0.215
0.355 0.491 0.060
0.491 0.355 0.560
0.788 0.935 0.006
0.935 0.788 0.506
0.402 0.184 0.304
0.184 0.402 0.804
0.816 0.598 0.196
0.598 0.816 0.696
0.065 0.212 0.494
0.212 0.065 0.994
0.509 0.645 0.440
0.645 0.509 0.940
0.120 0.880 0.750
0.880 0.120 0.250
```

Values from the calculation:
For the offset from the most stable computed form, the calculation gives 0 meV per atom. Its symmetry is No. 15. The crystal system is monoclinic.

---

# 10
VASP calculation (PBE+U) on LiMnF3 after structural relaxation.

```
LiMnF3
1.0
2.954 -5.116 0.000
2.954 5.116 0.000
0.000 0.000 5.898
Li Mn F
2 2 6
Direct
0.333 0.667 0.750
0.667 0.333 0.250
0.000 0.000 0.000
0.000 0.000 0.500
0.154 0.846 0.750
0.154 0.309 0.750
0.309 0.154 0.250
0.691 0.846 0.750
0.846 0.691 0.250
0.846 0.154 0.250
```

Values from the calculation:
For the offset from the most stable computed form, the calculation gives 71 meV per atom. Its symmetry is No. 194. The crystal system is hexagonal.

---

| no. | total energy (eV per atom) |
| --- | --- |
| 1 | -5.502 |
| 2 | -5.773 |
| 3 | -5.704 |
| 4 | -5.055 |
| 5 | -5.497 |
| 6 | -5.326 |
| 7 | -5.509 |
| 8 | -5.138 |
| 9 | -5.556 |
| 10 | -5.705 |